# 1
# Li2V3SnO8, optimized geometry, DFT PBE with a Hubbard U
data_Li2V3SnO8
_cell_length_a 8.566
_cell_length_b 8.600
_cell_length_c 8.659
_cell_angle_alpha 90.00
_cell_angle_beta 90.00
_cell_angle_gamma 90.00
_symmetry_space_group_name_H-M 'P 1'
_symmetry_Int_Tables_number 1
loop_
_symmetry_equiv_pos_as_xyz
'x,y,z'
loop_
_atom_site_label
_atom_site_type_symbol
_atom_site_fract_x
_atom_site_fract_y
_atom_site_fract_z
Li1 Li 0.004 0.005 0.005
Li2 Li 0.245 0.247 0.245
Li3 Li 0.255 0.753 0.745
Li4 Li 0.496 0.995 0.505
Li5 Li 0.504 0.495 0.995
Li6 Li 0.745 0.253 0.755
Li7 Li 0.755 0.747 0.255
Li8 Li 0.996 0.505 0.495
V1 V 0.114 0.131 0.624
V2 V 0.127 0.383 0.867
V3 V 0.134 0.626 0.117
V4 V 0.366 0.374 0.617
V5 V 0.373 0.617 0.367
V6 V 0.386 0.869 0.124
V7 V 0.614 0.369 0.376
V8 V 0.627 0.117 0.133
V9 V 0.634 0.874 0.883
V10 V 0.866 0.126 0.383
V11 V 0.873 0.883 0.633
V12 V 0.886 0.631 0.876
Sn1 Sn 0.125 0.874 0.376
Sn2 Sn 0.375 0.126 0.876
Sn3 Sn 0.625 0.626 0.624
Sn4 Sn 0.875 0.374 0.124
O1 O 0.095 0.119 0.382
O2 O 0.118 0.898 0.617
O3 O 0.119 0.620 0.887
O4 O 0.121 0.391 0.103
O5 O 0.131 0.631 0.351
O6 O 0.132 0.147 0.865
O7 O 0.143 0.858 0.131
O8 O 0.144 0.370 0.630
O9 O 0.356 0.630 0.130
O10 O 0.357 0.142 0.631
O11 O 0.368 0.853 0.365
O12 O 0.369 0.369 0.851
O13 O 0.379 0.609 0.603
O14 O 0.381 0.380 0.387
O15 O 0.382 0.102 0.117
O16 O 0.405 0.881 0.882
O17 O 0.595 0.381 0.618
O18 O 0.618 0.602 0.383
O19 O 0.619 0.880 0.113
O20 O 0.621 0.109 0.897
O21 O 0.631 0.869 0.649
O22 O 0.632 0.353 0.135
O23 O 0.643 0.642 0.869
O24 O 0.644 0.130 0.370
O25 O 0.856 0.870 0.870
O26 O 0.857 0.358 0.369
O27 O 0.868 0.647 0.635
O28 O 0.869 0.131 0.149
O29 O 0.879 0.891 0.397
O30 O 0.881 0.120 0.613
O31 O 0.882 0.398 0.883
O32 O 0.905 0.619 0.118
# E_form: -2409.1 meV per atom
# space-group type: No. 19
# energy relative to the lowest polymorph listed for this composition: 0.020 eV per atom
# final energy: -6.985 eV/atom
# size of the total moment: 0.36 μB/atom

# 2
# BaLa2Co3O9, optimized geometry, DFT PBE with a Hubbard U
data_BaLa2Co3O9
_cell_length_a 5.562
_cell_length_b 8.707
_cell_length_c 8.772
_cell_angle_alpha 101.04
_cell_angle_beta 108.44
_cell_angle_gamma 108.62
_symmetry_space_group_name_H-M 'P 1'
_symmetry_Int_Tables_number 1
loop_
_symmetry_equiv_pos_as_xyz
'x,y,z'
loop_
_atom_site_label
_atom_site_type_symbol
_atom_site_fract_x
_atom_site_fract_y
_atom_site_fract_z
Ba1 Ba 0.000 0.000 0.000
Ba2 Ba 0.001 0.500 0.501
La1 La 0.332 0.001 0.663
La2 La 0.332 0.501 0.163
La3 La 0.663 0.994 0.333
La4 La 0.669 0.497 0.841
Co1 Co 0.000 0.749 0.251
Co2 Co 0.333 0.250 0.416
Co3 Co 0.334 0.751 0.916
Co4 Co 0.666 0.249 0.084
Co5 Co 0.666 0.748 0.585
Co6 Co 0.999 0.249 0.750
O1 O 0.002 0.751 0.751
O2 O 0.172 0.741 0.091
O3 O 0.174 0.001 0.347
O4 O 0.178 0.506 0.850
O5 O 0.179 0.243 0.590
O6 O 0.341 0.758 0.409
O7 O 0.348 0.259 0.916
O8 O 0.500 0.751 0.751
O9 O 0.501 0.249 0.250
O10 O 0.501 0.504 0.497
O11 O 0.501 0.997 0.005
O12 O 0.654 0.243 0.590
O13 O 0.659 0.740 0.091
O14 O 0.822 0.994 0.651
O15 O 0.826 0.259 0.916
O16 O 0.826 0.497 0.155
O17 O 0.828 0.758 0.409
O18 O 0.999 0.249 0.250
# E_form: -2354.1 meV per atom
# space-group type: No. 1
# energy relative to the lowest polymorph listed for this composition: 0.000 eV per atom
# final energy: -6.791 eV/atom
# size of the total moment: 0.40 μB/atom

# 3
# Li5Ni4O8, optimized geometry, DFT PBE with a Hubbard U
data_Li5Ni4O8
_cell_length_a 8.382
_cell_length_b 8.382
_cell_length_c 8.382
_cell_angle_alpha 90.00
_cell_angle_beta 90.00
_cell_angle_gamma 90.00
_symmetry_space_group_name_H-M 'P 1'
_symmetry_Int_Tables_number 1
loop_
_symmetry_equiv_pos_as_xyz
'x,y,z'
loop_
_atom_site_label
_atom_site_type_symbol
_atom_site_fract_x
_atom_site_fract_y
_atom_site_fract_z
Li1 Li 0.053 0.053 0.053
Li2 Li 0.111 0.861 0.875
Li3 Li 0.125 0.611 0.639
Li4 Li 0.139 0.375 0.389
Li5 Li 0.197 0.197 0.197
Li6 Li 0.303 0.803 0.697
Li7 Li 0.361 0.625 0.889
Li8 Li 0.375 0.389 0.139
Li9 Li 0.389 0.139 0.375
Li10 Li 0.447 0.947 0.553
Li11 Li 0.553 0.447 0.947
Li12 Li 0.611 0.639 0.125
Li13 Li 0.625 0.889 0.361
Li14 Li 0.639 0.125 0.611
Li15 Li 0.697 0.303 0.803
Li16 Li 0.803 0.697 0.303
Li17 Li 0.861 0.875 0.111
Li18 Li 0.875 0.111 0.861
Li19 Li 0.889 0.361 0.625
Li20 Li 0.947 0.553 0.447
Ni1 Ni 0.124 0.126 0.625
Ni2 Ni 0.125 0.376 0.874
Ni3 Ni 0.125 0.875 0.375
Ni4 Ni 0.126 0.625 0.124
Ni5 Ni 0.374 0.375 0.624
Ni6 Ni 0.375 0.125 0.875
Ni7 Ni 0.375 0.624 0.374
Ni8 Ni 0.376 0.874 0.125
Ni9 Ni 0.624 0.374 0.375
Ni10 Ni 0.625 0.124 0.126
Ni11 Ni 0.625 0.625 0.625
Ni12 Ni 0.626 0.875 0.876
Ni13 Ni 0.874 0.125 0.376
Ni14 Ni 0.875 0.375 0.125
Ni15 Ni 0.875 0.876 0.626
Ni16 Ni 0.876 0.626 0.875
O1 O 0.113 0.882 0.615
O2 O 0.115 0.387 0.118
O3 O 0.118 0.115 0.387
O4 O 0.122 0.622 0.878
O5 O 0.128 0.372 0.628
O6 O 0.132 0.863 0.135
O7 O 0.135 0.132 0.863
O8 O 0.137 0.635 0.368
O9 O 0.363 0.365 0.868
O10 O 0.365 0.868 0.363
O11 O 0.368 0.137 0.635
O12 O 0.372 0.628 0.128
O13 O 0.378 0.378 0.378
O14 O 0.382 0.885 0.887
O15 O 0.385 0.613 0.618
O16 O 0.387 0.118 0.115
O17 O 0.613 0.618 0.385
O18 O 0.615 0.113 0.882
O19 O 0.618 0.385 0.613
O20 O 0.622 0.878 0.122
O21 O 0.628 0.128 0.372
O22 O 0.632 0.637 0.865
O23 O 0.635 0.368 0.137
O24 O 0.637 0.865 0.632
O25 O 0.863 0.135 0.132
O26 O 0.865 0.632 0.637
O27 O 0.868 0.363 0.365
O28 O 0.872 0.872 0.872
O29 O 0.878 0.122 0.622
O30 O 0.882 0.615 0.113
O31 O 0.885 0.887 0.382
O32 O 0.887 0.382 0.885
# E_form: -1493.9 meV per atom
# space-group type: No. 212
# energy relative to the lowest polymorph listed for this composition: 0.009 eV per atom
# final energy: -4.823 eV/atom
# size of the total moment: 0.29 μB/atom

# 4
# VCdPHO6, optimized geometry, DFT PBE with a Hubbard U
data_VCdPHO6
_cell_length_a 5.475
_cell_length_b 6.916
_cell_length_c 7.376
_cell_angle_alpha 90.00
_cell_angle_beta 103.50
_cell_angle_gamma 90.00
_symmetry_space_group_name_H-M 'P 1'
_symmetry_Int_Tables_number 1
loop_
_symmetry_equiv_pos_as_xyz
'x,y,z'
loop_
_atom_site_label
_atom_site_type_symbol
_atom_site_fract_x
_atom_site_fract_y
_atom_site_fract_z
V1 V 0.065 0.000 0.043
V2 V 0.935 0.500 0.957
Cd1 Cd 0.492 0.536 0.516
Cd2 Cd 0.508 0.036 0.484
P1 P 0.056 0.791 0.662
P2 P 0.944 0.291 0.338
H1 H 0.398 0.590 0.179
H2 H 0.602 0.090 0.821
O1 O 0.089 0.280 0.979
O2 O 0.096 0.977 0.784
O3 O 0.112 0.605 0.784
O4 O 0.219 0.285 0.457
O5 O 0.247 0.794 0.537
O6 O 0.349 0.956 0.175
O7 O 0.651 0.456 0.825
O8 O 0.753 0.294 0.463
O9 O 0.781 0.785 0.543
O10 O 0.888 0.105 0.216
O11 O 0.904 0.477 0.216
O12 O 0.911 0.780 0.021
# E_form: -1859.3 meV per atom
# space-group type: No. 4
# final energy: -6.127 eV/atom
# size of the total moment: 0.10 μB/atom

# 5
# GeWO4, optimized geometry, DFT PBE with a Hubbard U
data_GeWO4
_cell_length_a 5.097
_cell_length_b 6.042
_cell_length_c 5.170
_cell_angle_alpha 90.00
_cell_angle_beta 91.12
_cell_angle_gamma 90.00
_symmetry_space_group_name_H-M 'P 1'
_symmetry_Int_Tables_number 1
loop_
_symmetry_equiv_pos_as_xyz
'x,y,z'
loop_
_atom_site_label
_atom_site_type_symbol
_atom_site_fract_x
_atom_site_fract_y
_atom_site_fract_z
Ge1 Ge 0.000 0.192 0.250
Ge2 Ge 0.000 0.808 0.750
W1 W 0.500 0.330 0.750
W2 W 0.500 0.670 0.250
O1 O 0.258 0.136 0.613
O2 O 0.258 0.864 0.113
O3 O 0.296 0.402 0.057
O4 O 0.296 0.598 0.557
O5 O 0.704 0.402 0.443
O6 O 0.704 0.598 0.943
O7 O 0.742 0.136 0.887
O8 O 0.742 0.864 0.387
# E_form: -1865.1 meV per atom
# space-group type: No. 13
# energy relative to the lowest polymorph listed for this composition: 0.089 eV per atom
# final energy: -6.896 eV/atom
# size of the total moment: 0.00 μB/atom

# 6
# Ta2CrNO5, optimized geometry, DFT PBE with a Hubbard U
data_Ta2CrNO5
_cell_length_a 4.762
_cell_length_b 4.763
_cell_length_c 9.249
_cell_angle_alpha 89.83
_cell_angle_beta 89.92
_cell_angle_gamma 89.70
_symmetry_space_group_name_H-M 'P 1'
_symmetry_Int_Tables_number 1
loop_
_symmetry_equiv_pos_as_xyz
'x,y,z'
loop_
_atom_site_label
_atom_site_type_symbol
_atom_site_fract_x
_atom_site_fract_y
_atom_site_fract_z
Ta1 Ta 0.000 0.000 0.000
Ta2 Ta 0.009 0.013 0.325
Ta3 Ta 0.501 0.516 0.501
Ta4 Ta 0.512 0.526 0.843
Cr1 Cr 0.499 0.526 0.164
Cr2 Cr 0.997 0.028 0.663
N1 N 0.196 0.830 0.166
N2 N 0.695 0.724 0.995
O1 O 0.194 0.830 0.496
O2 O 0.197 0.832 0.829
O3 O 0.299 0.331 0.659
O4 O 0.300 0.329 0.338
O5 O 0.300 0.331 0.993
O6 O 0.690 0.720 0.662
O7 O 0.695 0.723 0.337
O8 O 0.798 0.225 0.498
O9 O 0.804 0.226 0.829
O10 O 0.809 0.221 0.166
# E_form: -2642.0 meV per atom
# space-group type: No. 1
# energy relative to the lowest polymorph listed for this composition: 0.003 eV per atom
# final energy: -9.421 eV/atom
# size of the total moment: 0.00 μB/atom

# 7
# LiMnO2, optimized geometry, DFT PBE with a Hubbard U
data_LiMnO2
_cell_length_a 2.872
_cell_length_b 32.443
_cell_length_c 5.823
_cell_angle_alpha 90.00
_cell_angle_beta 90.00
_cell_angle_gamma 90.00
_symmetry_space_group_name_H-M 'P 1'
_symmetry_Int_Tables_number 1
loop_
_symmetry_equiv_pos_as_xyz
'x,y,z'
loop_
_atom_site_label
_atom_site_type_symbol
_atom_site_fract_x
_atom_site_fract_y
_atom_site_fract_z
Li1 Li 0.000 0.000 0.000
Li2 Li 0.000 0.142 0.474
Li3 Li 0.000 0.285 0.995
Li4 Li 0.000 0.428 0.997
Li5 Li 0.000 0.572 0.997
Li6 Li 0.000 0.715 0.995
Li7 Li 0.000 0.858 0.474
Li8 Li 0.500 0.071 0.240
Li9 Li 0.500 0.212 0.235
Li10 Li 0.500 0.356 0.236
Li11 Li 0.500 0.500 0.238
Li12 Li 0.500 0.644 0.236
Li13 Li 0.500 0.788 0.235
Li14 Li 0.500 0.929 0.240
Mn1 Mn 0.000 0.000 0.478
Mn2 Mn 0.000 0.141 0.994
Mn3 Mn 0.000 0.284 0.478
Mn4 Mn 0.000 0.428 0.481
Mn5 Mn 0.000 0.572 0.481
Mn6 Mn 0.000 0.716 0.478
Mn7 Mn 0.000 0.859 0.994
Mn8 Mn 0.500 0.070 0.739
Mn9 Mn 0.500 0.212 0.736
Mn10 Mn 0.500 0.356 0.751
Mn11 Mn 0.500 0.500 0.753
Mn12 Mn 0.500 0.644 0.751
Mn13 Mn 0.500 0.788 0.736
Mn14 Mn 0.500 0.930 0.739
O1 O 0.000 0.070 0.970
O2 O 0.000 0.071 0.509
O3 O 0.000 0.212 0.506
O4 O 0.000 0.212 0.966
O5 O 0.000 0.355 0.976
O6 O 0.000 0.356 0.515
O7 O 0.000 0.500 0.517
O8 O 0.000 0.500 0.977
O9 O 0.000 0.644 0.515
O10 O 0.000 0.645 0.976
O11 O 0.000 0.788 0.506
O12 O 0.000 0.788 0.966
O13 O 0.000 0.929 0.509
O14 O 0.000 0.930 0.970
O15 O 0.500 0.000 0.255
O16 O 0.500 0.000 0.715
O17 O 0.500 0.141 0.217
O18 O 0.500 0.141 0.757
O19 O 0.500 0.284 0.254
O20 O 0.500 0.284 0.714
O21 O 0.500 0.428 0.257
O22 O 0.500 0.428 0.717
O23 O 0.500 0.572 0.257
O24 O 0.500 0.572 0.717
O25 O 0.500 0.716 0.254
O26 O 0.500 0.716 0.714
O27 O 0.500 0.859 0.217
O28 O 0.500 0.859 0.757
# E_form: -2144.5 meV per atom
# space-group type: No. 25
# final energy: -6.626 eV/atom
# size of the total moment: 1.00 μB/atom

# 8
# Li9Mn2Co5O16, optimized geometry, DFT PBE with a Hubbard U
data_Li9Mn2Co5O16
_cell_length_a 5.059
_cell_length_b 5.111
_cell_length_c 11.803
_cell_angle_alpha 91.74
_cell_angle_beta 93.07
_cell_angle_gamma 108.66
_symmetry_space_group_name_H-M 'P 1'
_symmetry_Int_Tables_number 1
loop_
_symmetry_equiv_pos_as_xyz
'x,y,z'
loop_
_atom_site_label
_atom_site_type_symbol
_atom_site_fract_x
_atom_site_fract_y
_atom_site_fract_z
Li1 Li 0.000 0.000 0.000
Li2 Li 0.000 0.497 0.882
Li3 Li 0.002 0.490 0.120
Li4 Li 0.005 0.495 0.372
Li5 Li 0.496 0.484 0.008
Li6 Li 0.499 0.495 0.754
Li7 Li 0.505 0.496 0.247
Li8 Li 0.511 0.502 0.489
Li9 Li 0.994 0.491 0.622
Mn1 Mn 0.500 0.992 0.623
Mn2 Mn 0.996 0.991 0.754
Co1 Co 0.002 0.995 0.495
Co2 Co 0.008 0.996 0.243
Co3 Co 0.496 0.994 0.117
Co4 Co 0.502 0.993 0.368
Co5 Co 0.505 0.003 0.878
O1 O 0.228 0.202 0.629
O2 O 0.242 0.767 0.760
O3 O 0.243 0.229 0.371
O4 O 0.251 0.769 0.501
O5 O 0.255 0.223 0.868
O6 O 0.256 0.753 0.254
O7 O 0.265 0.216 0.129
O8 O 0.274 0.753 0.012
O9 O 0.734 0.236 0.993
O10 O 0.735 0.218 0.240
O11 O 0.747 0.759 0.629
O12 O 0.750 0.772 0.131
O13 O 0.755 0.221 0.489
O14 O 0.759 0.788 0.864
O15 O 0.760 0.226 0.741
O16 O 0.767 0.765 0.378
# E_form: -1785.7 meV per atom
# space-group type: No. 1
# energy relative to the lowest polymorph listed for this composition: 0.078 eV per atom
# final energy: -5.776 eV/atom
# size of the total moment: 0.81 μB/atom

# 9
# CaCr3P3O13, optimized geometry, DFT PBE with a Hubbard U
data_CaCr3P3O13
_cell_length_a 7.583
_cell_length_b 6.368
_cell_length_c 10.340
_cell_angle_alpha 90.00
_cell_angle_beta 100.25
_cell_angle_gamma 90.00
_symmetry_space_group_name_H-M 'P 1'
_symmetry_Int_Tables_number 1
loop_
_symmetry_equiv_pos_as_xyz
'x,y,z'
loop_
_atom_site_label
_atom_site_type_symbol
_atom_site_fract_x
_atom_site_fract_y
_atom_site_fract_z
Ca1 Ca 0.158 0.250 0.195
Ca2 Ca 0.842 0.750 0.805
Cr1 Cr 0.141 0.250 0.800
Cr2 Cr 0.275 0.750 0.440
Cr3 Cr 0.500 0.000 0.000
Cr4 Cr 0.500 0.500 0.000
Cr5 Cr 0.725 0.250 0.560
Cr6 Cr 0.859 0.750 0.200
P1 P 0.186 0.750 0.113
P2 P 0.240 0.750 0.764
P3 P 0.290 0.250 0.514
P4 P 0.710 0.750 0.486
P5 P 0.760 0.250 0.236
P6 P 0.814 0.250 0.887
O1 O 0.008 0.250 0.965
O2 O 0.121 0.562 0.789
O3 O 0.121 0.938 0.789
O4 O 0.144 0.750 0.257
O5 O 0.160 0.250 0.612
O6 O 0.252 0.061 0.417
O7 O 0.252 0.439 0.417
O8 O 0.290 0.547 0.095
O9 O 0.290 0.953 0.095
O10 O 0.297 0.750 0.631
O11 O 0.377 0.250 0.905
O12 O 0.416 0.750 0.873
O13 O 0.484 0.250 0.593
O14 O 0.516 0.750 0.407
O15 O 0.584 0.250 0.127
O16 O 0.623 0.750 0.095
O17 O 0.703 0.250 0.369
O18 O 0.710 0.047 0.905
O19 O 0.710 0.453 0.905
O20 O 0.748 0.561 0.583
O21 O 0.748 0.939 0.583
O22 O 0.840 0.750 0.388
O23 O 0.856 0.250 0.743
O24 O 0.879 0.062 0.211
O25 O 0.879 0.438 0.211
O26 O 0.992 0.750 0.035
# E_form: -2730.4 meV per atom
# space-group type: No. 11
# final energy: -7.560 eV/atom
# size of the total moment: 0.45 μB/atom